First-principles (meta-GGA r2SCAN) data for crystalline Pr6Ge3Se14 at its relaxed geometry, as listed in the Materials Project database.

The structure in POSCAR format:
```
Pr6Ge3Se14
1.0
10.739 0.000 0.000
-5.369 9.300 0.000
0.000 0.000 6.107
Pr Ge Se
6 3 14
Direct
0.025 0.563 0.000
0.310 0.104 0.506
0.437 0.462 0.000
0.538 0.975 0.000
0.794 0.690 0.506
0.896 0.206 0.506
0.000 0.000 0.922
0.333 0.667 0.414
0.667 0.333 0.267
0.000 0.000 0.301
0.082 0.851 0.765
0.149 0.231 0.765
0.184 0.436 0.259
0.251 0.816 0.259
0.333 0.667 0.795
0.413 0.172 0.029
0.501 0.424 0.518
0.564 0.749 0.259
0.576 0.077 0.518
0.760 0.587 0.029
0.769 0.918 0.765
0.828 0.240 0.029
0.923 0.499 0.518
```

Values from the calculation:
Space group: P3
Formation energy from the elements, eV per atom: -1.556
E, eV/cell: -454.2